Here is a geometry-optimized Na3CrO4 structure from Materials Project. Energies are from PBE with a Hubbard U.

Lattice parameters (Å, degrees): 12.3514 7.1486 5.6615 90.00 90.00 90.00
Space group Pnma (No. 62)
Symmetry-distinct sites (fractional):
Na  0.0758  0.2500  0.2119 x4
Na  0.1633  0.5006  0.7966 x8
Cr  0.0879  0.7500  0.3063 x4
O  0.0455  0.2500  0.7877 x4
O  0.0884  0.7500  0.6116 x4
O  0.1566  0.5524  0.2077 x8


Here is a geometry-optimized Na2CrO4 structure from Materials Project. Energies are from PBE with a Hubbard U.

Output
As for the total magnetization: 0.00 μB/f.u.

Lattice parameters (Å, degrees): 15.6798 15.6798 10.5999 90.00 90.00 120.00
Space group R-3 (No. 148, hexagonal axes)
Symmetry-distinct sites (fractional):
Na  0.0185  0.2078  0.0854 x18
Na  0.0211  0.2138  0.4196 x18
Cr  0.0145  0.2110  0.7509 x18
O  0.0081  0.3138  0.7526 x18
O  0.0697  0.2039  0.8815 x18
O  0.0762  0.2094  0.6231 x18
O  0.1003  0.8841  0.2532 x18


no.,calculated formation energy (kJ/mol of atoms),E (eV/atom)
1,-189.46,-5.547
2,-190.04,-5.876